Entry from the Materials Project database: crystalline GaSiRu2 at its relaxed geometry (meta-GGA r2SCAN).

Output
Its space group is Fm-3m. The calculation puts the calculated total energy at -18.28 eV/atom. Its formation energy is -0.514 eV/atom. The calculation puts the mass density at 9.67 g cm⁻³.

Geometry as extended XYZ:
```
4
Lattice="0.000 2.953 2.953 2.953 0.000 2.953 2.953 2.953 0.000" Properties=species:S:1:pos:R:3 pbc="T T T"
Ga 0.000 0.000 0.000
Si 2.953 2.953 2.953
Ru 1.477 1.477 1.477
Ru 4.430 4.430 4.430
```